Density functional theory data (PBE) for an optimized crystal structure of NaGePCO7.

Geometry as POSCAR:
```
NaGePCO7
1.0
5.1305 0.0000 0.0000
0.0000 6.3208 0.0000
-0.4197 0.0000 8.9744
Na Ge P C O
2 2 2 2 14
direct
0.2376 0.0000 0.2750
0.7624 0.5000 0.7250
0.2166 0.2128 0.8390
0.7834 0.7128 0.1610
0.2729 0.7223 0.9352
0.7271 0.2223 0.0648
0.2757 0.2337 0.5799
0.7243 0.7337 0.4201
0.0451 0.2285 0.6443
0.1182 0.7306 0.0793
0.2024 0.5277 0.8388
0.2129 0.9146 0.8344
0.3100 0.2369 0.4456
0.4278 0.2143 0.0185
0.4682 0.2329 0.6887
0.5318 0.7329 0.3113
0.5722 0.7143 0.9815
0.6900 0.7369 0.5544
0.7871 0.4146 0.1656
0.7976 0.0277 0.1612
0.8818 0.2306 0.9207
0.9549 0.7285 0.3557
```

## Properties
ΔH_f (0 K) in kJ/mol of formula units: -2346.8
Density in kg/m3: 2860

***

Density functional theory data (PBE) for an optimized crystal structure of Cs2TeBr6.

Geometry as POSCAR:
```
Cs2TeBr6
1.0
0.0000 5.6293 5.6293
5.6293 0.0000 5.6293
5.6293 5.6293 0.0000
Cs Te Br
2 1 6
direct
0.2500 0.2500 0.2500
0.7500 0.7500 0.7500
0.0000 0.0000 0.0000
0.2438 0.2438 0.7562
0.2438 0.7562 0.2438
0.2438 0.7562 0.7562
0.7562 0.2438 0.2438
0.7562 0.2438 0.7562
0.7562 0.7562 0.2438
```

## Properties
ΔH_f (0 K) in kJ/mol of formula units: -1265.5
Density in kg/m3: 4062